[1]
38
Lattice="2.6467 -6.4869 -3.8895 4.2645 -4.9557 4.6333 -4.6259 -7.2282 2.1767" Properties=species:S:1:pos:R:3 comment="Li2V2S3O12 | the Materials Project | GGA+U | relaxed" total_magnetization_mub_per_atom=0.3158 mass_density_g_cm3=2.86 dft_energy_ev_per_atom=-6.466 e_form_ev_per_atom=-2.144 polymorph_energy_ev_per_atom=0.0063 pbc="T T T"
S 1.4376 -5.4951 -0.2383
O 2.5125 -11.2570 -0.1490
O 2.8968 -8.1881 4.0347
O 0.8536 -13.6918 1.7574
O 3.9805 -9.3224 -0.5472
O -1.6952 -9.3483 3.4678
O 0.0966 -6.2275 -0.3660
S -0.5368 -8.7888 2.6336
O 4.5920 -13.1528 1.8037
V -0.1755 -8.4373 -0.7288
S 0.8477 -13.1757 3.1589
Li 5.2752 -9.0332 1.5085
O 2.1680 -16.8720 2.3073
Li -2.9899 -9.6376 1.4120
S 2.8221 -9.8820 0.2870
V -0.6617 -14.6138 0.4731
O 1.4836 -4.3696 -1.1910
O 0.1172 -1.7988 0.6133
O 0.8017 -14.3012 4.1116
V 2.4608 -10.2335 3.6494
O 2.8079 -5.8214 3.6264
Li 2.6470 -12.9457 0.9363
O -0.6115 -10.4827 -1.1142
O 0.6014 -9.6851 2.7748
S 3.0067 -6.8587 4.6436
S -0.7214 -11.8121 -1.7230
O -2.3068 -5.5180 1.1169
O 1.6839 -8.9857 0.1457
O -1.0734 -8.7748 1.2398
Li -0.3617 -5.7251 1.9842
O -0.2207 -12.2134 3.3851
O -0.2272 -7.4138 3.0695
O 2.5060 -6.4574 -0.4646
O -0.5227 -12.8494 -0.7059
O 3.3586 -9.8960 1.6808
O 2.1887 -12.4433 3.2865
V 2.9470 -4.0570 2.4474
O 1.4317 -4.9789 1.1632

[2]
34
Lattice="-6.8255 4.2523 -1.5013 -0.8749 -7.2889 -3.8072 0.4386 -1.4623 8.2826" Properties=species:S:1:pos:R:3 comment="LiVS3O12 | the Materials Project | GGA+U | relaxed" total_magnetization_mub_per_atom=0.0000 mass_density_g_cm3=2.46 dft_energy_ev_per_atom=-6.180 e_form_ev_per_atom=-1.895 polymorph_energy_ev_per_atom=0.0125 pbc="T T T"
S -5.8633 -4.1055 0.0419
O -1.9870 -3.0744 1.2270
S -6.3555 -1.2911 2.8769
O -5.6661 2.4885 5.0464
O -4.8026 2.1814 2.8298
O -4.4686 -3.7288 0.5756
O -1.7224 0.1171 -0.7219
O -4.0331 -3.1054 -3.1619
O -3.8660 0.9900 0.1520
O -5.7238 -1.2276 4.1540
O -6.6100 -2.9178 -0.3056
O -3.2287 -1.3935 6.1360
O -3.3958 -5.4889 2.8222
O -5.2748 -1.4245 1.7471
O -1.5380 -3.2714 -1.1798
O -0.6518 -1.5811 3.2797
S -3.9718 -4.5349 3.7480
Li -1.4148 -5.8529 1.5893
O -2.7932 -0.7701 2.3985
O -0.3491 -4.4496 3.8922
O -6.9127 -0.0493 -0.9181
Li -5.8470 1.3540 1.3848
O -3.7533 -3.1109 3.1636
O -0.3449 -6.8462 4.2044
O -2.4592 -6.6803 0.1443
O -1.5957 -6.9874 -2.0723
S -1.3985 -0.3935 2.9322
O -5.5394 -4.6161 3.6960
V 0.0000 0.0000 0.0000
V -3.6309 -2.2495 1.4871
S -3.2900 0.0360 -0.7739
O -3.5085 -1.3881 -0.1894
S -0.9063 -3.2078 0.0972
O -6.9169 2.3473 -1.2303

[3]
36
Lattice="-7.5612 4.3784 -0.9188 -7.3465 -4.2224 -2.3208 -6.5253 -1.1047 5.7781" Properties=species:S:1:pos:R:3 comment="LiV2S3O12 | the Materials Project | GGA+U | relaxed" total_magnetization_mub_per_atom=0.2778 mass_density_g_cm3=2.78 dft_energy_ev_per_atom=-6.555 e_form_ev_per_atom=-2.099 polymorph_energy_ev_per_atom=0.0208 pbc="T T T"
V -3.0612 -0.1355 0.3626
O -12.1878 -3.7076 3.6596
S -12.7679 -1.9307 -1.2739
O -8.9543 -1.9905 0.9604
V -13.7777 -0.6098 1.6319
O -14.8175 -2.3846 1.4680
S -12.1250 -2.2585 4.0315
O -6.6155 1.4359 1.0706
O -8.8887 -3.8710 -0.5893
Li -10.7165 -0.4743 1.2693
O -12.4787 1.0418 1.5781
S -9.3080 1.3099 -1.4929
S -12.6148 2.5291 1.6849
O -8.8749 0.3109 2.4906
V -7.6553 -0.3388 0.9067
O -12.5443 2.9223 3.1279
O -10.8324 -1.9244 4.6448
O -9.2452 2.7589 -1.1211
O -9.2070 0.4829 -0.2488
S -8.8182 -3.4777 0.8536
O -8.4125 -0.0629 4.8546
V -18.3718 -0.8132 2.1760
S -8.6651 0.9820 3.8125
O -15.0672 0.4523 0.4207
O -12.5581 -1.2596 0.0480
O -10.6006 0.9757 -2.1063
O -11.4955 3.1012 0.9244
O -9.9375 -4.0499 1.6142
O -11.5339 -2.6756 -1.5585
O -13.0205 -0.8858 -2.3160
O -6.3658 -1.4010 2.1179
O -6.7395 -0.9078 -0.8527
O -12.2260 -1.4316 2.7874
O -14.6935 -0.0409 3.3913
Li 0.0000 0.0000 0.0000
O -9.8991 1.7270 4.0971

[4]
28
Lattice="-3.8962 -4.7904 -0.9363 1.1296 1.8890 5.7256 -7.9740 6.4640 -0.5610" Properties=species:S:1:pos:R:3 comment="Li4V3Sn3Sb2O16 | the Materials Project | GGA+U | relaxed" total_magnetization_mub_per_atom=0.1786 mass_density_g_cm3=5.02 dft_energy_ev_per_atom=-6.400 e_form_ev_per_atom=-2.177 polymorph_energy_ev_per_atom=0.0107 pbc="T T T"
O -1.3888 0.3307 3.4510
O -8.6318 2.8880 -0.7565
Sb -10.1418 3.8118 0.7419
V -8.7309 0.9855 -0.1640
Li -5.4044 0.0113 1.0620
Sn -1.9941 1.2197 1.6404
O -1.7614 -0.5732 0.5365
O -3.3535 -2.0254 3.1288
O -9.2345 2.3603 4.3283
Li -6.7091 0.3833 4.4826
O -5.0006 3.7882 1.3166
O -4.4143 4.7681 4.2876
V -3.3678 -0.1866 4.0115
O -2.2821 3.0247 2.7372
V -8.1943 1.8830 2.5558
Li -10.6059 3.5853 4.1942
Sn -1.4319 2.1606 4.4913
O -5.2870 -0.8178 4.5986
O -6.7737 2.2283 3.8866
Sb -4.5417 2.8805 3.2313
O -7.0213 1.3761 0.9304
Li -7.6891 5.3932 3.0225
Sn -6.7989 3.3530 0.2345
O -8.1141 3.7530 1.8678
O -3.9122 0.7017 2.3246
O -3.3966 1.5659 4.9400
O -3.9713 -3.0589 -0.0053
O -9.7973 1.5673 1.4151

[5]
56
Lattice="1.8385 -2.4071 5.4774 4.2021 -8.4429 -5.2358 8.9562 4.9673 -0.7295" Properties=species:S:1:pos:R:3 comment="Li4V3Sn3Sb2O16 | the Materials Project | GGA+U | relaxed" total_magnetization_mub_per_atom=0.1786 mass_density_g_cm3=4.96 dft_energy_ev_per_atom=-6.410 e_form_ev_per_atom=-2.187 polymorph_energy_ev_per_atom=0.0004 pbc="T T T"
V 10.1512 -3.2899 -1.3001
O 5.5683 -7.5188 1.8754
V 7.0930 2.1141 -1.3950
O 6.2522 -9.1258 -0.7084
O 5.1590 -7.8829 -3.6455
O 13.3137 -6.7907 -0.3537
O 9.9333 0.0693 2.3431
Sn 9.5512 -1.8061 1.4311
O 10.3355 -1.3903 -0.4643
Li 10.7912 -1.1737 -4.1127
Li 10.7121 2.5144 4.6689
Li 11.9163 -0.4942 -0.6904
Sb 6.1067 -0.1237 1.5540
Li 7.9821 -6.2404 -1.9433
Li 9.6149 1.8005 1.2755
O 3.9685 -4.8518 1.7179
O 8.9074 1.2204 -0.6817
V 4.8494 -4.4476 -1.8723
O 8.5061 -2.4239 -1.8812
Sb 10.2934 2.1158 -2.4348
Sn 10.7140 -4.7545 -3.9566
V 11.5937 -5.9738 -1.2393
Sb 9.0858 -5.5701 1.5875
O 4.6238 -6.1671 -0.7727
O 6.4635 -5.1980 -2.8721
O 7.7966 -1.1439 0.4552
O 3.9174 0.3001 2.4496
O 5.2763 -2.1909 2.5053
O 4.5124 -1.0416 -0.0503
Sb 13.2962 -3.3115 -2.3217
O 7.6171 -6.4185 0.1150
V 3.6679 -1.4387 3.4869
O 6.9129 0.0903 -2.1700
O 9.1647 -3.6786 0.4634
O 7.0462 -6.8666 -5.4647
Sn 2.7516 -0.2503 0.7856
Sn 4.2438 -2.9272 0.8428
O 3.2391 -3.7191 -0.8322
O 7.2024 0.5294 3.4087
Li 6.2959 0.0587 5.0700
V 8.6376 -0.5306 -1.3239
O 11.1004 -2.8744 -3.0271
O 5.0732 -2.7281 -2.9247
O 6.1591 1.7856 0.4084
Li 7.4836 -2.9450 -0.3018
Li 4.9551 -0.8682 -2.0404
Sn 5.7598 -5.6601 0.9079
Sn 5.4241 -5.9628 -4.5090
O 11.7858 -3.9526 -0.5956
O 5.8699 -3.8373 -0.1108
O 3.4116 -3.1664 4.5828
O 9.4988 -0.0177 -3.0687
O 2.5413 -2.0973 1.7732
O 12.4898 -5.3813 -2.9739
O 10.7456 -6.5250 0.5432
O 9.8086 -5.1090 -2.0916

[6]
56
Lattice="-3.0901 5.3837 -0.0081 0.1036 0.0284 20.4971 6.2544 0.0430 0.0313" Properties=species:S:1:pos:R:3 comment="Li4V3Sn3Sb2O16 | the Materials Project | GGA+U | relaxed" total_magnetization_mub_per_atom=0.1786 mass_density_g_cm3=4.97 dft_energy_ev_per_atom=-6.411 e_form_ev_per_atom=-2.187 polymorph_energy_ev_per_atom=0.0000 pbc="T T T"
Li 3.1346 5.4198 5.1318
O 1.8034 2.6881 8.5081
O 4.7008 2.5844 18.6774
Sb 0.0341 3.6143 5.0999
O 0.0196 0.0620 8.3438
O 6.3170 0.0631 13.5427
V 3.2416 3.6343 17.6028
O 3.2276 0.2045 8.5171
O 0.0329 1.6871 16.4081
O -1.3128 2.8134 13.7553
O 0.0624 5.2594 3.3524
Sn -1.4536 4.5120 12.4502
O 6.2677 0.0504 3.2955
O 3.2796 0.2183 18.7652
Sn -1.5054 4.4980 2.2021
O 0.0714 0.0768 18.5927
O 3.1959 3.7955 11.3621
O 1.5401 2.8212 13.5897
O 1.8471 4.7363 16.5997
O -1.6564 4.5271 6.1725
O 1.4440 0.8300 0.9817
Li 3.1381 5.4034 10.1959
V 3.1907 3.6201 7.3543
O 1.4868 2.8022 3.3448
Li 3.1517 1.8136 4.0989
O 4.8719 0.8558 11.3824
O 0.1188 5.2721 13.5981
O -0.0192 1.6734 6.1594
Li 0.1095 3.6187 9.1431
O 1.7948 4.7226 6.3509
V 1.5865 4.5024 2.2347
Sb 3.2302 1.8464 10.1663
O 4.8215 0.8471 1.1309
O 3.1492 3.7796 1.1112
Sb 3.2840 1.8613 20.4142
O 4.6493 2.5698 8.4280
O 3.2524 1.7814 16.4937
Sn 0.0871 1.8327 12.4582
Li 3.1908 5.4180 20.4438
O 3.2009 1.7678 6.2455
O 0.0113 3.5869 1.0733
Li 3.2041 1.8281 14.3472
Li 0.1609 3.6327 19.3912
Sn 0.0356 1.8184 2.2100
Sn 1.6064 0.9395 7.3356
O 0.0662 3.6031 11.3229
Li 3.1857 5.4332 15.3794
Sn 1.6584 0.9535 17.5840
V 4.7461 0.9722 17.5978
O 1.4965 0.8446 11.2278
Sb 0.0865 3.6289 15.3490
O 1.8552 2.7028 18.7557
V 4.6943 0.9582 7.3495
V 1.6384 4.5169 12.4830
O -1.6050 4.5413 16.4215
O -1.3650 2.7991 3.5055

[7]
17
Lattice="-3.4949 -0.5073 3.7477 3.7314 -2.1198 3.1815 1.4524 6.9342 2.2602" Properties=species:S:1:pos:R:3 comment="LiSbTe2WO12 | the Materials Project | GGA+U | relaxed" total_magnetization_mub_per_atom=0.0001 mass_density_g_cm3=6.18 dft_energy_ev_per_atom=-5.964 piezo_max_c_m2=0.34 e_form_ev_per_atom=-1.730 pbc="T T T"
O -0.8721 2.7942 5.3352
O 1.1345 4.5873 7.3612
O 2.0469 -1.5198 3.8507
O 1.6859 3.9638 4.7234
O 0.7622 5.1277 2.1193
O 0.0395 0.2701 4.5198
W 0.0294 -0.0137 0.0435
O 2.6042 1.4818 3.8417
O 0.5828 -0.4247 1.8456
O -2.7071 1.2248 3.8944
O -0.3131 5.7096 5.4073
O 0.2481 2.4535 2.7278
Te 0.7294 3.4279 1.1289
Sb 0.8636 2.0858 4.5934
O 1.4461 1.8134 6.4834
Te 0.1424 -1.3304 3.5020
Li -0.6143 3.7730 6.9755

[8]
20
Lattice="-3.8284 -1.6667 3.2138 1.6601 -5.3808 -0.8129 4.5868 1.3099 6.0943" Properties=species:S:1:pos:R:3 comment="Li4SbTe2WO12 | the Materials Project | GGA+U | relaxed" total_magnetization_mub_per_atom=0.0000 mass_density_g_cm3=5.61 dft_energy_ev_per_atom=-5.831 e_form_ev_per_atom=-1.946 pbc="T T T"
O -0.9026 -5.4718 1.9862
O -2.3818 -2.8245 3.0498
O 0.0034 -4.4682 4.7607
O 1.9002 -5.7436 6.6405
O 1.7975 -2.8233 6.1333
O -0.3107 -1.5615 4.7212
Li -0.7789 -1.0570 2.7949
W 0.7601 -0.4071 9.2590
O 2.2191 -5.0858 1.1731
O 2.8554 -4.0377 3.8135
Li 1.9273 -2.6858 0.9839
Sb 1.1973 -2.9169 4.2268
Li 1.4994 -0.1938 5.8970
O 2.3598 -1.2106 3.9181
O 0.5457 -2.8154 2.3684
O 3.3349 0.0491 6.6004
Te 2.2199 0.5959 2.9713
Te 3.5564 -2.4089 7.2095
O 4.8760 -2.6138 5.7491
Li 4.1720 -2.1973 3.8393